Computed, not measured: a relaxed structure of BiRh7Pb2O15 at the PBE level of DFT.

Summary:
- SG: Cmcm
- E: -0.2325 Ha/atom
- DFT formation energy: -1.257 eV per atom
- E (MP2020): -6.74 eV per atom

```
BiRh7Pb2O15
1.0
5.2927 -9.1849 0.0000
5.2927 9.1849 0.0000
0.0000 0.0000 13.4092
O Pb Rh Bi
60 8 28 4
direct
0.8420 0.3336 0.4177
0.3467 0.8292 0.7500
0.3350 0.4932 0.5832
0.3336 0.8420 0.0823
0.3350 0.4932 0.9168
0.8315 0.8315 0.4239
0.8296 0.4814 0.2500
0.6665 0.0006 0.4203
0.1685 0.1685 0.9239
0.3329 0.3329 0.0758
0.1580 0.6664 0.9177
0.8292 0.3467 0.7500
0.8308 0.9993 0.9253
0.3420 0.5215 0.2500
0.6671 0.6671 0.9242
0.5089 0.8422 0.9168
0.8422 0.5089 0.9168
0.8422 0.5089 0.5832
0.6664 0.1580 0.5823
0.5089 0.8422 0.5832
0.3335 0.9994 0.9203
0.3336 0.8420 0.4177
0.0007 0.1692 0.0747
0.4814 0.8296 0.2500
0.9994 0.3335 0.5797
0.1580 0.6664 0.5823
0.5186 0.1704 0.7500
0.4932 0.3350 0.5832
0.5068 0.6650 0.4168
0.0007 0.1692 0.4253
0.1692 0.0007 0.4253
0.6665 0.0006 0.0797
0.0006 0.6665 0.4203
0.4932 0.3350 0.9168
0.6650 0.5068 0.0832
0.9993 0.8308 0.9253
0.1708 0.6533 0.2500
0.1692 0.0007 0.0747
0.1578 0.4911 0.0832
0.8420 0.3336 0.0823
0.8308 0.9993 0.5747
0.6533 0.1708 0.2500
0.5068 0.6650 0.0832
0.3335 0.9994 0.5797
0.1704 0.5186 0.7500
0.0006 0.6665 0.0797
0.1578 0.4911 0.4168
0.9993 0.8308 0.5747
0.5215 0.3420 0.2500
0.4911 0.1578 0.4168
0.4911 0.1578 0.0832
0.6580 0.4785 0.7500
0.3329 0.3329 0.4242
0.8315 0.8315 0.0761
0.4785 0.6580 0.7500
0.9994 0.3335 0.9203
0.6671 0.6671 0.5758
0.1685 0.1685 0.5761
0.6650 0.5068 0.4168
0.6664 0.1580 0.9177
0.6139 0.9961 0.7500
0.7310 0.7310 0.7500
0.6016 0.6016 0.2500
0.3984 0.3984 0.7500
0.2690 0.2690 0.2500
0.0039 0.3861 0.2500
0.9961 0.6139 0.7500
0.3861 0.0039 0.2500
0.3330 0.6663 0.1460
0.1694 0.3377 0.5008
0.8306 0.6623 0.0008
0.3337 0.6670 0.6460
0.6663 0.3330 0.1460
0.8314 0.1686 0.5000
0.5000 0.5000 0.0000
0.1686 0.8314 0.0000
0.1694 0.3377 0.9992
0.0000 0.5000 0.0000
0.0000 0.0000 0.0000
0.1686 0.8314 0.5000
0.5000 0.5000 0.5000
0.0000 0.5000 0.5000
0.5000 0.0000 0.0000
0.6663 0.3330 0.3540
0.3337 0.6670 0.8540
0.8306 0.6623 0.4992
0.6670 0.3337 0.6460
0.6623 0.8306 0.4992
0.6670 0.3337 0.8540
0.6623 0.8306 0.0008
0.3377 0.1694 0.9992
0.0000 0.0000 0.5000
0.8314 0.1686 0.0000
0.5000 0.0000 0.5000
0.3330 0.6663 0.3540
0.3377 0.1694 0.5008
0.0012 0.2888 0.7500
0.7112 0.9988 0.2500
0.2888 0.0012 0.7500
0.9988 0.7112 0.2500
```